A relaxed structure of MnH12C2N2Cl4, computed with PBE.

Geometry as POSCAR:
```
MnH12C2N2Cl4
1.0
-7.113 0.416 1.455
1.142 -3.179 6.493
2.678 17.487 8.090
Mn H C N Cl
4 48 8 8 16
Direct
0.000 0.500 0.500
0.500 0.000 0.500
0.500 0.500 0.000
0.000 0.000 0.000
0.490 0.158 0.891
0.942 0.953 0.723
0.067 0.452 0.081
0.990 0.658 0.109
0.058 0.047 0.277
0.154 0.519 0.894
0.942 0.547 0.223
0.326 0.501 0.698
0.006 0.178 0.695
0.558 0.953 0.223
0.346 0.981 0.894
0.442 0.047 0.777
0.558 0.547 0.723
0.826 0.001 0.302
0.346 0.519 0.394
0.933 0.952 0.419
0.174 0.999 0.698
0.654 0.481 0.606
0.506 0.678 0.305
0.494 0.178 0.195
0.433 0.452 0.581
0.442 0.453 0.277
0.654 0.019 0.106
0.933 0.548 0.919
0.567 0.548 0.419
0.058 0.453 0.777
0.674 0.499 0.302
0.067 0.048 0.581
0.510 0.842 0.109
0.994 0.678 0.805
0.494 0.322 0.695
0.506 0.822 0.805
0.490 0.342 0.391
0.174 0.501 0.198
0.846 0.019 0.606
0.510 0.658 0.609
0.433 0.048 0.081
0.826 0.499 0.802
0.010 0.158 0.391
0.010 0.342 0.891
0.154 0.981 0.394
0.326 0.999 0.198
0.674 0.001 0.802
0.567 0.952 0.919
0.846 0.481 0.106
0.990 0.842 0.609
0.006 0.322 0.195
0.994 0.822 0.305
0.029 0.468 0.188
0.471 0.032 0.188
0.971 0.532 0.812
0.029 0.032 0.688
0.971 0.968 0.312
0.529 0.968 0.812
0.529 0.532 0.312
0.471 0.468 0.688
0.481 0.017 0.884
0.519 0.517 0.616
0.519 0.983 0.116
0.019 0.017 0.384
0.981 0.517 0.116
0.019 0.483 0.884
0.981 0.983 0.616
0.481 0.483 0.384
0.969 0.530 0.627
0.250 0.750 0.999
0.750 0.250 0.501
0.031 0.030 0.873
0.750 0.750 0.981
0.750 0.750 0.481
0.750 0.250 0.001
0.469 0.470 0.873
0.969 0.970 0.127
0.250 0.250 0.519
0.531 0.970 0.627
0.250 0.750 0.499
0.031 0.470 0.373
0.250 0.250 0.019
0.469 0.030 0.373
0.531 0.530 0.127
```

Properties
* crystal system: orthorhombic
* E_form: -61.4 kJ/mol of atoms
* space group: Pccn (56)

=====

A relaxed structure of CdP14Pb, computed with PBE.

Geometry as POSCAR:
```
CdP14Pb
1.0
9.774 0.000 0.000
0.000 12.127 0.000
0.000 0.000 15.019
Cd P Pb
4 56 4
Direct
0.250 0.854 0.875
0.250 0.646 0.375
0.750 0.146 0.125
0.750 0.354 0.625
0.250 0.681 0.545
0.250 0.819 0.045
0.750 0.319 0.455
0.750 0.181 0.955
0.250 0.267 0.964
0.250 0.233 0.464
0.750 0.733 0.036
0.750 0.767 0.536
0.250 0.122 0.585
0.250 0.378 0.085
0.750 0.878 0.415
0.750 0.622 0.915
0.250 0.644 0.850
0.250 0.856 0.350
0.750 0.356 0.150
0.750 0.144 0.650
0.070 0.159 0.984
0.430 0.341 0.484
0.570 0.841 0.016
0.930 0.659 0.516
0.930 0.841 0.016
0.570 0.659 0.516
0.430 0.159 0.984
0.070 0.341 0.484
0.073 0.792 0.559
0.427 0.708 0.059
0.573 0.208 0.441
0.927 0.292 0.941
0.927 0.208 0.441
0.573 0.292 0.941
0.427 0.792 0.559
0.073 0.708 0.059
0.076 0.594 0.933
0.424 0.906 0.433
0.576 0.406 0.067
0.924 0.094 0.567
0.924 0.406 0.067
0.576 0.094 0.567
0.424 0.594 0.933
0.076 0.906 0.433
0.069 0.176 0.661
0.431 0.324 0.161
0.569 0.824 0.339
0.931 0.676 0.839
0.931 0.824 0.339
0.569 0.676 0.839
0.431 0.176 0.661
0.069 0.324 0.161
0.034 0.352 0.629
0.466 0.148 0.129
0.534 0.648 0.371
0.966 0.852 0.871
0.966 0.648 0.371
0.534 0.852 0.871
0.466 0.352 0.629
0.034 0.148 0.129
0.250 0.507 0.683
0.250 0.993 0.183
0.750 0.493 0.317
0.750 0.007 0.817
```

Properties
* crystal system: orthorhombic
* E_form: 4.0 kJ/mol of atoms
* space group: Pnma (62)

=====

A relaxed structure of Ca2SnS4, computed with PBE.

Geometry as POSCAR:
```
Ca2SnS4
1.0
-6.729 0.248 4.346
3.675 -3.964 5.917
3.360 10.027 4.630
Ca Sn S
8 4 16
Direct
0.263 0.000 0.250
0.737 0.000 0.750
0.000 0.263 0.500
0.000 0.737 0.000
0.244 0.244 0.875
0.756 0.756 0.375
0.756 0.244 0.125
0.244 0.756 0.625
0.256 0.500 0.250
0.744 0.500 0.750
0.500 0.256 0.500
0.500 0.744 0.000
0.037 0.269 0.254
0.963 0.731 0.754
0.731 0.037 0.504
0.269 0.963 0.004
0.963 0.269 0.746
0.037 0.731 0.246
0.269 0.037 0.496
0.731 0.963 0.996
0.495 0.272 0.275
0.505 0.728 0.775
0.728 0.495 0.525
0.272 0.505 0.025
0.505 0.272 0.725
0.495 0.728 0.225
0.272 0.495 0.475
0.728 0.505 0.975
```

Properties
* crystal system: tetragonal
* E_form: -152.2 kJ/mol of atoms
* space group: P4_122 (91)
* largest piezoelectric modulus: 0.0 C/m²

=====

A relaxed structure of KPrSe2O8, computed with PBE.

Geometry as POSCAR:
```
KPrSe2O8
1.0
7.500 0.000 0.000
0.000 9.023 0.000
0.000 0.329 11.247
K Pr Se O
4 4 8 32
Direct
0.854 0.437 0.343
0.646 0.437 0.843
0.146 0.563 0.657
0.354 0.563 0.157
0.666 0.943 0.348
0.166 0.057 0.152
0.334 0.057 0.652
0.834 0.943 0.848
0.164 0.813 0.392
0.842 0.722 0.090
0.336 0.813 0.892
0.836 0.187 0.608
0.158 0.278 0.910
0.658 0.722 0.590
0.342 0.278 0.410
0.664 0.187 0.108
0.479 0.408 0.363
0.979 0.592 0.137
0.521 0.592 0.637
0.021 0.408 0.863
0.752 0.698 0.456
0.252 0.302 0.044
0.248 0.302 0.544
0.748 0.698 0.956
0.682 0.754 0.191
0.182 0.246 0.309
0.318 0.246 0.809
0.818 0.754 0.691
0.451 0.116 0.445
0.951 0.884 0.055
0.549 0.884 0.555
0.049 0.116 0.945
0.669 0.121 0.971
0.169 0.879 0.529
0.331 0.879 0.029
0.831 0.121 0.471
0.852 0.368 0.602
0.352 0.632 0.898
0.148 0.632 0.398
0.648 0.368 0.102
0.660 0.134 0.695
0.160 0.866 0.805
0.340 0.866 0.305
0.840 0.134 0.195
0.000 0.099 0.687
0.500 0.901 0.813
0.000 0.901 0.313
0.500 0.099 0.187
```

Properties
* crystal system: monoclinic
* E_form: -194.0 kJ/mol of atoms
* space group: P2_1/c (14)

=====

A relaxed structure of Mn3NiN, computed with PBE.

Geometry as POSCAR:
```
Mn3NiN
1.0
3.838 0.000 0.000
0.000 3.838 0.000
0.000 0.000 3.838
Mn Ni N
3 1 1
Direct
0.000 0.500 0.500
0.500 0.500 0.000
0.500 0.000 0.500
0.000 0.000 0.000
0.500 0.500 0.500
```

Properties
* crystal system: cubic
* E_form: -20.6 kJ/mol of atoms
* space group: Pm-3m (221)

=====

A relaxed structure of AlB6H6C2Cl6, computed with PBE.

Geometry as POSCAR:
```
AlB6H6C2Cl6
1.0
-10.395 2.171 2.371
0.318 -6.121 7.001
4.331 9.544 10.248
Al B H C Cl
4 24 24 8 24
Direct
0.220 0.156 0.657
0.720 0.844 0.843
0.780 0.844 0.343
0.280 0.156 0.157
0.452 0.329 0.518
0.952 0.671 0.982
0.548 0.671 0.482
0.048 0.329 0.018
0.384 0.466 0.574
0.884 0.534 0.926
0.616 0.534 0.426
0.116 0.466 0.074
0.537 0.408 0.604
0.037 0.592 0.896
0.463 0.592 0.396
0.963 0.408 0.104
0.389 0.632 0.500
0.889 0.368 0.000
0.611 0.368 0.500
0.111 0.632 0.000
0.498 0.597 0.594
0.998 0.403 0.906
0.502 0.403 0.406
0.002 0.597 0.094
0.360 0.463 0.453
0.860 0.537 0.047
0.640 0.537 0.547
0.140 0.463 0.953
0.040 0.016 0.597
0.540 0.984 0.903
0.960 0.984 0.403
0.460 0.016 0.097
0.088 0.156 0.513
0.588 0.844 0.987
0.912 0.844 0.487
0.412 0.156 0.013
0.995 0.197 0.606
0.495 0.803 0.894
0.005 0.803 0.394
0.505 0.197 0.106
0.210 0.043 0.824
0.710 0.957 0.676
0.790 0.957 0.176
0.290 0.043 0.324
0.357 0.122 0.800
0.857 0.878 0.700
0.643 0.878 0.200
0.143 0.122 0.300
0.319 0.952 0.761
0.819 0.048 0.739
0.681 0.048 0.239
0.181 0.952 0.261
0.071 0.129 0.586
0.571 0.871 0.914
0.929 0.871 0.414
0.429 0.129 0.086
0.283 0.060 0.772
0.783 0.940 0.728
0.717 0.940 0.228
0.217 0.060 0.272
0.392 0.145 0.543
0.892 0.855 0.957
0.608 0.855 0.457
0.108 0.145 0.043
0.256 0.418 0.652
0.756 0.582 0.848
0.744 0.582 0.348
0.244 0.418 0.152
0.571 0.311 0.713
0.071 0.689 0.787
0.429 0.689 0.287
0.929 0.311 0.213
0.274 0.767 0.502
0.774 0.233 0.998
0.726 0.233 0.498
0.226 0.767 0.002
0.492 0.700 0.690
0.992 0.300 0.810
0.508 0.300 0.310
0.008 0.700 0.190
0.214 0.424 0.408
0.714 0.576 0.092
0.786 0.576 0.592
0.286 0.424 0.908
```

Properties
* crystal system: monoclinic
* E_form: -67.7 kJ/mol of atoms
* space group: P2_1/c (14)

=====

A relaxed structure of CeIn5Co, computed with PBE.

Geometry as POSCAR:
```
CeIn5Co
1.0
-3.165 2.103 -2.656
-2.800 -3.669 0.431
-3.111 3.098 6.160
Ce In Co
1 5 1
Direct
0.000 0.000 0.000
0.500 0.500 0.000
0.500 0.000 0.691
0.000 0.500 0.309
0.500 0.000 0.309
0.000 0.500 0.691
0.000 0.000 0.500
```

Properties
* crystal system: tetragonal
* E_form: -23.8 kJ/mol of atoms
* space group: P4/mmm (123)

=====

A relaxed structure of KHoS2, computed with PBE.

Geometry as POSCAR:
```
KHoS2
1.0
-2.265 3.340 0.031
1.756 3.627 0.220
0.155 2.610 -7.268
K Ho S
1 1 2
Direct
0.500 0.500 0.500
0.000 0.000 0.000
0.734 0.734 0.799
0.266 0.266 0.201
```

Properties
* crystal system: trigonal
* E_form: -205.8 kJ/mol of atoms
* space group: R-3m (166)

=====

A relaxed structure of K4CaUSi4O14, computed with PBE.

Geometry as POSCAR:
```
K4CaUSi4O14
1.0
9.477 0.000 0.000
0.000 9.477 0.000
0.000 0.000 8.505
K Ca U Si O
8 2 2 8 28
Direct
0.345 0.155 0.250
0.155 0.655 0.750
0.655 0.845 0.250
0.845 0.345 0.750
0.214 0.714 0.250
0.286 0.214 0.750
0.714 0.786 0.750
0.786 0.286 0.250
0.500 0.500 0.000
0.000 0.000 0.500
0.500 0.500 0.500
0.000 0.000 0.000
0.881 0.619 0.444
0.619 0.119 0.944
0.619 0.119 0.556
0.881 0.619 0.056
0.119 0.381 0.444
0.381 0.881 0.944
0.381 0.881 0.556
0.119 0.381 0.056
0.500 0.500 0.279
0.000 0.000 0.779
0.500 0.500 0.721
0.000 0.000 0.221
0.914 0.770 0.517
0.586 0.270 0.017
0.770 0.086 0.483
0.730 0.586 0.983
0.086 0.230 0.517
0.414 0.730 0.017
0.230 0.914 0.483
0.270 0.414 0.983
0.729 0.554 0.504
0.771 0.054 0.004
0.554 0.271 0.496
0.946 0.771 0.996
0.271 0.446 0.504
0.229 0.946 0.004
0.446 0.729 0.496
0.054 0.229 0.996
0.000 0.500 0.501
0.500 0.000 0.001
0.500 0.000 0.499
0.000 0.500 0.999
0.880 0.620 0.250
0.620 0.120 0.750
0.120 0.380 0.250
0.380 0.880 0.750
```

Properties
* crystal system: tetragonal
* E_form: -302.2 kJ/mol of atoms
* space group: P-4n2 (118)